No. 1
Compound: Pa3Al
Source: the Materials Project database
Functional: r2SCAN
Structure: optimized geometry

Results
* raw total energy: -59.45 eV/atom
* space group: Pm-3m

a = 4.517 Å, b = 4.517 Å, c = 4.517 Å
α = 90.00°, β = 90.00°, γ = 90.00°
Fractional coordinates of all 4 atoms:
Pa (0.000, 0.500, 0.500)
Pa (0.500, 0.000, 0.500)
Pa (0.500, 0.500, 0.000)
Al (0.000, 0.000, 0.000)

No. 2
Compound: Cs2TeH6SeO10
Source: the Materials Project database
Functional: r2SCAN
Structure: optimized geometry

Results
* raw total energy: -9.77 eV/atom
* space group: P2_1/c

a = 7.452 Å, b = 12.375 Å, c = 12.800 Å
α = 68.82°, β = 90.00°, γ = 90.00°
Fractional coordinates of all 80 atoms:
Cs (0.467, 0.389, 0.365)
Cs (0.533, 0.611, 0.635)
Cs (0.967, 0.111, 0.635)
Cs (0.033, 0.889, 0.365)
Cs (0.992, 0.643, 0.138)
Cs (0.008, 0.357, 0.862)
Cs (0.492, 0.857, 0.862)
Cs (0.508, 0.143, 0.138)
Te (0.000, 0.500, 0.500)
Te (0.500, 0.000, 0.500)
Te (0.000, 0.000, 0.000)
Te (0.500, 0.500, 0.000)
H (0.289, 0.900, 0.078)
H (0.711, 0.100, 0.922)
H (0.789, 0.600, 0.922)
H (0.211, 0.400, 0.078)
H (0.798, 0.663, 0.387)
H (0.202, 0.337, 0.613)
H (0.298, 0.837, 0.613)
H (0.702, 0.163, 0.387)
H (0.754, 0.877, 0.592)
H (0.246, 0.123, 0.408)
H (0.254, 0.623, 0.408)
H (0.746, 0.377, 0.592)
H (0.520, 0.873, 0.387)
H (0.480, 0.127, 0.613)
H (0.020, 0.627, 0.613)
H (0.980, 0.373, 0.387)
H (0.466, 0.606, 0.130)
H (0.534, 0.394, 0.870)
H (0.966, 0.894, 0.870)
H (0.034, 0.106, 0.130)
H (0.751, 0.901, 0.126)
H (0.249, 0.099, 0.874)
H (0.251, 0.599, 0.874)
H (0.749, 0.401, 0.126)
Se (0.501, 0.750, 0.251)
Se (0.499, 0.250, 0.749)
Se (0.001, 0.750, 0.749)
Se (0.999, 0.250, 0.251)
O (0.787, 0.778, 0.715)
O (0.213, 0.222, 0.285)
O (0.287, 0.722, 0.285)
O (0.713, 0.278, 0.715)
O (0.924, 0.639, 0.382)
O (0.076, 0.361, 0.618)
O (0.424, 0.861, 0.618)
O (0.576, 0.139, 0.382)
O (0.380, 0.578, 0.085)
O (0.620, 0.422, 0.915)
O (0.880, 0.922, 0.915)
O (0.120, 0.078, 0.085)
O (0.883, 0.899, 0.134)
O (0.117, 0.101, 0.866)
O (0.383, 0.601, 0.866)
O (0.617, 0.399, 0.134)
O (0.515, 0.877, 0.146)
O (0.485, 0.123, 0.854)
O (0.015, 0.623, 0.854)
O (0.985, 0.377, 0.146)
O (0.695, 0.609, 0.973)
O (0.305, 0.391, 0.027)
O (0.195, 0.891, 0.027)
O (0.805, 0.109, 0.973)
O (0.590, 0.646, 0.214)
O (0.410, 0.354, 0.786)
O (0.090, 0.854, 0.786)
O (0.910, 0.146, 0.214)
O (0.440, 0.937, 0.386)
O (0.560, 0.063, 0.614)
O (0.940, 0.563, 0.614)
O (0.060, 0.437, 0.386)
O (0.613, 0.755, 0.362)
O (0.387, 0.245, 0.638)
O (0.113, 0.745, 0.638)
O (0.887, 0.255, 0.362)
O (0.738, 0.938, 0.516)
O (0.262, 0.062, 0.484)
O (0.238, 0.562, 0.484)
O (0.762, 0.438, 0.516)

no.,formation energy (eV per atom)
1,-0.127
2,-1.247